Record 1
4
Lattice="1.667 0.956 3.410 -0.210 3.680 1.318 -2.233 0.843 3.102" Properties=species:S:1:pos:R:3 comment="meta-GGA r2SCAN LiBe2Pt, relaxed" total_energy_ev_per_atom=-16.191 total_magnetization_mub_per_cell=0.0 space_group="Fm-3m, No. 225" pbc="T T T"
Li -0.388 2.739 3.915
Be -0.582 4.109 5.872
Be -0.194 1.370 1.957
Pt 0.000 0.000 0.000

***

Record 2
36
Lattice="-6.483 -4.341 -3.419 -0.561 -4.727 7.065 -5.498 5.602 3.312" Properties=species:S:1:pos:R:3 comment="meta-GGA r2SCAN CsXeF7, relaxed" total_energy_ev_per_atom=-8.957 total_magnetization_mub_per_cell=0.0 space_group="P2_13, No. 198" pbc="T T T"
Cs -8.355 -4.511 2.496
Cs -9.063 0.539 3.736
Cs -6.394 -2.610 6.977
Cs -1.271 -0.351 0.705
Xe -4.924 -6.309 4.650
Xe -9.190 -1.028 -0.408
Xe -5.930 1.797 6.877
Xe -5.039 -1.393 2.795
F -1.761 -3.112 4.966
F -9.239 -1.499 6.484
F -7.975 -2.680 -0.375
F -9.033 -4.220 5.500
F -4.062 -4.741 5.652
F -10.448 -2.220 3.947
F -5.206 -2.991 -1.183
F -4.685 2.882 2.681
F -3.569 -0.053 3.216
F -4.665 -0.671 0.931
F -3.399 -2.492 2.306
F -5.026 0.304 5.834
F -9.710 -1.848 1.378
F -6.576 -5.317 5.299
F -5.669 0.429 8.359
F -5.038 -4.844 3.246
F -10.082 0.572 0.475
F -7.661 -0.360 0.753
F -6.330 -7.104 3.414
F -7.524 0.583 6.531
F -6.837 -1.890 3.792
F -6.694 -6.043 0.098
F -3.329 -2.162 8.098
F -8.224 3.161 1.926
F -6.107 0.358 2.839
F -5.888 -2.855 1.633
F -4.441 -2.046 4.645
F -6.403 2.324 4.952

***

Record 3
10
Lattice="-0.390 4.040 -0.955 -4.151 -0.394 0.026 -0.146 2.133 9.083" Properties=species:S:1:pos:R:3 comment="meta-GGA r2SCAN SmNi2As2, relaxed" total_energy_ev_per_atom=-17.506 total_magnetization_mub_per_cell=0.0 space_group="P4/nmm, No. 129" pbc="T T T"
Sm -3.442 3.263 1.553
Sm -1.245 2.516 6.601
Ni -1.330 2.931 -0.710
Ni -3.211 0.714 -0.219
Ni -3.496 4.055 4.924
Ni -1.191 1.725 3.230
As -1.403 3.998 3.832
As -3.284 1.781 4.322
As -3.533 4.593 7.217
As -1.154 1.186 0.936

***

Record 4
16
Lattice="-3.512 1.654 -0.337 -2.021 -3.304 4.837 3.765 9.660 8.171" Properties=species:S:1:pos:R:3 comment="meta-GGA r2SCAN TmCuS2, relaxed" total_energy_ev_per_atom=-17.100 total_magnetization_mub_per_cell=0.0 space_group="P2_12_12_1, No. 19" pbc="T T T"
Tm -0.005 4.067 8.721
Tm -2.776 2.293 6.368
Tm 0.124 8.781 8.025
Tm -0.879 0.880 2.227
Cu -1.319 5.259 5.990
Cu 0.597 4.386 4.266
Cu 0.943 6.778 11.941
Cu -3.757 -0.403 3.145
S -1.012 6.365 7.971
S -1.769 -0.006 7.118
S 2.098 8.063 6.460
S -2.852 1.598 3.792
S -2.603 3.177 8.965
S -0.168 3.178 6.126
S 1.735 8.058 10.142
S -2.501 1.608 0.109